No. 1
MgB2: optimized geometry, PBE.

Summary:
Formation energy   -0.130 eV per atom
Calculated volume   9.64 A^3/atom
Raw total energy   -15.35 eV for the cell shown

```
data_MgB2
_chemical_formula_sum 'Mg1 B2'
_cell_length_a 3.0737
_cell_length_b 3.0737
_cell_length_c 3.5344
_cell_angle_alpha 90.00
_cell_angle_beta 90.00
_cell_angle_gamma 120.00
_space_group_name_H-M_alt 'P 6/m m m'
_space_group_IT_number 191
_space_group_name_Hall '-P 6 2'
loop_
_atom_site_label
_atom_site_type_symbol
_atom_site_fract_x
_atom_site_fract_y
_atom_site_fract_z
Mg1 Mg 0.0000 0.0000 0.0000
B1 B 0.3333 0.6667 0.5000
```

***

No. 2
Mg2Si: optimized geometry, PBE.

Summary:
Formation energy   0.077 eV per atom
Calculated volume   19.96 A^3/atom
M_tot   0.000 μB/atom
Raw total energy   -33.87 eV for the cell shown

```
data_Mg2Si
_chemical_formula_sum 'Mg8 Si4'
_cell_length_a 5.923
_cell_length_b 6.698
_cell_length_c 6.927
_cell_angle_alpha 72.41
_cell_angle_beta 68.39
_cell_angle_gamma 74.23
_space_group_name_H-M_alt 'P 1'
_space_group_IT_number 1
loop_
_space_group_symop_operation_xyz
'x,y,z'
loop_
_atom_site_label
_atom_site_type_symbol
_atom_site_fract_x
_atom_site_fract_y
_atom_site_fract_z
Mg1 Mg 0.000 0.000 0.000
Mg2 Mg 0.017 0.441 0.112
Mg3 Mg 0.253 0.068 0.393
Mg4 Mg 0.350 0.626 0.305
Mg5 Mg 0.400 0.686 0.758
Mg6 Mg 0.695 0.133 0.426
Mg7 Mg 0.840 0.349 0.641
Mg8 Mg 0.900 0.759 0.726
Si1 Si 0.269 0.316 0.699
Si2 Si 0.491 0.053 0.935
Si3 Si 0.568 0.338 0.060
Si4 Si 0.771 0.734 0.372
```

***

No. 3
ZnOs3: optimized geometry, PBE.

Summary:
Formation energy   0.400 eV per atom
Calculated volume   14.27 A^3/atom
M_tot   0.000 μB/atom
Raw total energy   -66.68 eV for the cell shown

```
data_ZnOs3
_chemical_formula_sum 'Zn2 Os6'
_cell_length_a 5.4975
_cell_length_b 5.4975
_cell_length_c 4.3621
_cell_angle_alpha 90.00
_cell_angle_beta 90.00
_cell_angle_gamma 120.00
_space_group_name_H-M_alt 'P 63/m m c'
_space_group_IT_number 194
_space_group_name_Hall '-P 6c 2c'
loop_
_atom_site_label
_atom_site_type_symbol
_atom_site_fract_x
_atom_site_fract_y
_atom_site_fract_z
Zn1 Zn 0.3333 0.6667 0.2500
Os1 Os 0.1712 0.3424 0.7500
```

***

No. 4
HgS: optimized geometry, PBE.

Summary:
Formation energy   -0.375 eV per atom
Calculated volume   27.61 A^3/atom
M_tot   0.000 μB/atom
Raw total energy   -14.06 eV for the cell shown
Maximum piezoelectric response   0.39 C/m2

```
data_HgS
_chemical_formula_sum 'Hg3 S3'
_cell_length_a 4.4307
_cell_length_b 4.4307
_cell_length_c 9.7456
_cell_angle_alpha 90.00
_cell_angle_beta 90.00
_cell_angle_gamma 120.00
_space_group_name_H-M_alt 'P 32 2 1'
_space_group_IT_number 154
loop_
_space_group_symop_operation_xyz
'x,y,z'
'-y,x-y,z+2/3'
'-x+y,-x,z+1/3'
'y,x,-z'
'x-y,-y,-z+1/3'
'-x,-x+y,-z+2/3'
loop_
_atom_site_label
_atom_site_type_symbol
_atom_site_fract_x
_atom_site_fract_y
_atom_site_fract_z
Hg1 Hg 0.0000 0.2416 0.3333
S1 S 0.0000 0.5435 0.8333
```

***

Look up the formation energy of the fourth one.
-0.375 eV per atom

***

Which value of raw total energy does entry 1 give?
-15.35 eV for the cell shown